Compound: Er2Cl2O
Source: the Materials Project database
Functional: PBE
Structure: relaxed

Calculated total energy   -4.92 eV/atom
Crystal system   tetragonal

Cell: 4.0745 4.0745 12.6097 Å, 90.00 90.00 90.00°
Atoms (fractional coordinates):
Er 0.0000 0.0000 0.1620
Er 0.0000 0.0000 0.8380
Cl 0.0000 0.0000 0.3550
Cl 0.0000 0.0000 0.6450
O 0.0000 0.0000 0.0000